This record from the Materials Project database describes a relaxed structure of ErGa3. The functional is PBE-GGA.

Output
ΔE_f (meV/atom): -507
E (eV/atom): -3.92

Cell and atoms, written as CIF:
```
data_ErGa3
_cell_length_a 6.2122
_cell_length_b 6.2122
_cell_length_c 4.6026
_cell_angle_alpha 90.00
_cell_angle_beta 90.00
_cell_angle_gamma 120.00
_symmetry_space_group_name_H-M 'P 63/m m c'
_symmetry_Int_Tables_number 194
_symmetry_space_group_name_Hall '-P 6c 2c'
loop_
_atom_site_label
_atom_site_type_symbol
_atom_site_fract_x
_atom_site_fract_y
_atom_site_fract_z
Er1 Er 0.3333 0.6667 0.2500
Ga1 Ga 0.1507 0.3014 0.7500
```